# Li6Mn3CoO10

Crystalline Li6Mn3CoO10 at its relaxed geometry (PBE+U, Materials Project).

Computed properties:
Energy above the lowest structure with this stoichiometry: 0.0659 eV/atom
Calculated volume: 9.1 Å³/atom
Density: 3.9 g cm⁻³
E_form: -1.99 eV per atom
Magnetization: 14.0 μB/cell

a = 2.992 Å, b = 7.812 Å, c = 8.136 Å
α = 104.54°, β = 90.96°, γ = 96.68°
Fractional coordinates of all 20 atoms:
1 Li 0.794 0.601 0.909
2 Li 0.993 0.993 0.486
3 Li 0.216 0.409 0.109
4 Li 0.405 0.801 0.696
5 Li 0.590 0.189 0.298
6 Li 0.414 0.809 0.207
7 Mn 0.993 0.992 0.007
8 Mn 0.203 0.404 0.597
9 Mn 0.589 0.197 0.798
10 Co 0.812 0.609 0.390
11 O 0.434 0.824 0.958
12 O 0.572 0.207 0.560
13 O 0.790 0.593 0.172
14 O 0.969 0.008 0.765
15 O 0.180 0.413 0.361
16 O 0.228 0.398 0.841
17 O 0.422 0.783 0.446
18 O 0.560 0.173 0.036
19 O 0.826 0.595 0.630
20 O 0.009 0.003 0.233

---

# Li7Mn4CoO12

Crystalline Li7Mn4CoO12 at its relaxed geometry (PBE+U, Materials Project).

Computed properties:
Energy above the lowest structure with this stoichiometry: 0.0046 eV/atom
Calculated volume: 9.0 Å³/atom
Density: 4.0 g cm⁻³
E_form: -2.08 eV per atom
Magnetization: 25.8 μB/cell

a = 5.918 Å, b = 10.122 Å, c = 7.768 Å
α = 77.16°, β = 79.32°, γ = 74.40°
Fractional coordinates of all 48 atoms:
1 Li 0.171 0.996 0.333
2 Li 0.163 0.505 0.334
3 Li 0.667 0.250 0.832
4 Li 0.668 0.749 0.834
5 Li 0.166 0.250 0.832
6 Li 0.167 0.750 0.835
7 Li 0.333 0.252 0.154
8 Li 0.329 0.754 0.156
9 Li 0.000 0.248 0.510
10 Li 0.005 0.747 0.513
11 Li 0.496 0.006 0.994
12 Li 0.502 0.501 0.992
13 Li 0.838 0.494 0.672
14 Li 0.830 0.998 0.675
15 Mn 0.996 0.004 0.996
16 Mn 0.004 0.498 0.998
17 Mn 0.329 0.002 0.668
18 Mn 0.338 0.496 0.671
19 Mn 0.834 0.250 0.164
20 Mn 0.829 0.752 0.164
21 Mn 0.498 0.250 0.501
22 Mn 0.504 0.748 0.504
23 Co 0.663 0.503 0.327
24 Co 0.671 0.997 0.340
25 O 0.989 0.372 0.235
26 O 0.992 0.875 0.230
27 O 0.342 0.128 0.431
28 O 0.343 0.625 0.438
29 O 0.812 0.142 0.410
30 O 0.814 0.640 0.406
31 O 0.521 0.358 0.255
32 O 0.519 0.861 0.262
33 O 0.131 0.126 0.090
34 O 0.128 0.628 0.091
35 O 0.201 0.375 0.575
36 O 0.206 0.871 0.578
37 O 0.642 0.375 0.579
38 O 0.668 0.860 0.584
39 O 0.691 0.125 0.086
40 O 0.666 0.641 0.085
41 O 0.494 0.126 0.727
42 O 0.501 0.621 0.730
43 O 0.839 0.374 0.939
44 O 0.833 0.879 0.938
45 O 0.346 0.382 0.897
46 O 0.302 0.897 0.915
47 O 0.987 0.117 0.768
48 O 0.032 0.603 0.753

---

# Li2MnCoO4

Crystalline Li2MnCoO4 at its relaxed geometry (PBE+U, Materials Project).

Computed properties:
Energy above the lowest structure with this stoichiometry: 0.0117 eV/atom
Calculated volume: 9.1 Å³/atom
Density: 4.4 g cm⁻³
E_form: -1.92 eV per atom
Magnetization: 0.0 μB/cell

a = 2.912 Å, b = 9.732 Å, c = 5.217 Å
α = 84.49°, β = 89.99°, γ = 81.42°
Fractional coordinates of all 16 atoms:
1 Li 0.125 0.750 0.375
2 Li 0.625 0.750 0.875
3 Li 0.878 0.246 0.633
4 Li 0.372 0.254 0.117
5 Mn 0.500 0.000 0.501
6 Mn 0.750 0.500 0.249
7 Co 0.000 0.001 0.001
8 Co 0.250 0.499 0.749
9 O 0.444 0.113 0.791
10 O 0.806 0.387 0.959
11 O 0.695 0.610 0.541
12 O 0.555 0.890 0.209
13 O 0.944 0.113 0.341
14 O 0.306 0.387 0.409
15 O 0.193 0.615 0.085
16 O 0.057 0.885 0.665

---

# Li7Mn2Co3O12

Crystalline Li7Mn2Co3O12 at its relaxed geometry (PBE+U, Materials Project).

Computed properties:
Energy above the lowest structure with this stoichiometry: 0.0817 eV/atom
Calculated volume: 9.0 Å³/atom
Density: 4.1 g cm⁻³
E_form: -1.85 eV per atom
Magnetization: 6.0 μB/cell

a = 2.887 Å, b = 14.538 Å, c = 5.140 Å
α = 90.48°, β = 88.96°, γ = 90.83°
Fractional coordinates of all 24 atoms:
1 Li 0.998 0.152 0.646
2 Li 0.499 0.506 0.497
3 Li 0.004 0.843 0.351
4 Li 0.510 0.156 0.168
5 Li 0.001 0.504 0.003
6 Li 0.492 0.838 0.835
7 Li 0.499 0.000 0.498
8 Mn 0.999 0.000 0.000
9 Mn 0.501 0.333 0.833
10 Co 0.000 0.668 0.667
11 Co 0.002 0.333 0.333
12 Co 0.500 0.668 0.167
13 O 0.505 0.074 0.850
14 O 0.011 0.408 0.685
15 O 0.484 0.744 0.507
16 O 0.999 0.079 0.304
17 O 0.498 0.408 0.148
18 O 0.981 0.741 0.010
19 O 0.506 0.259 0.520
20 O 0.015 0.588 0.328
21 O 0.492 0.926 0.150
22 O 0.992 0.261 0.979
23 O 0.512 0.589 0.824
24 O 0.001 0.922 0.697

---

# Li7Mn4CoO12

Crystalline Li7Mn4CoO12 at its relaxed geometry (PBE+U, Materials Project).

Computed properties:
Energy above the lowest structure with this stoichiometry: 0.0042 eV/atom
Calculated volume: 8.9 Å³/atom
Density: 4.0 g cm⁻³
E_form: -2.08 eV per atom
Magnetization: 14.0 μB/cell

a = 5.012 Å, b = 5.019 Å, c = 9.847 Å
α = 100.57°, β = 86.30°, γ = 118.43°
Fractional coordinates of all 24 atoms:
1 Li 0.996 0.248 0.754
2 Li 0.341 0.429 0.248
3 Li 0.665 0.590 0.752
4 Li 0.339 0.916 0.752
5 Li 0.661 0.074 0.246
6 Li 0.000 0.746 0.249
7 Li 0.333 0.667 0.000
8 Mn 0.001 0.999 0.000
9 Mn 0.666 0.334 0.000
10 Mn 0.336 0.163 0.500
11 Mn 0.997 0.503 0.500
12 Co 0.666 0.833 0.500
13 O 0.688 0.984 0.888
14 O 0.992 0.122 0.394
15 O 0.325 0.266 0.889
16 O 0.970 0.621 0.889
17 O 0.359 0.814 0.379
18 O 0.688 0.487 0.382
19 O 0.342 0.546 0.609
20 O 0.697 0.712 0.110
21 O 0.974 0.851 0.618
22 O 0.643 0.180 0.617
23 O 0.978 0.348 0.114
24 O 0.341 0.068 0.112

---

# Li4MnCo2O7

Crystalline Li4MnCo2O7 at its relaxed geometry (PBE+U, Materials Project).

Computed properties:
Energy above the lowest structure with this stoichiometry: 0.0420 eV/atom
Calculated volume: 8.7 Å³/atom
Density: 4.2 g cm⁻³
E_form: -1.84 eV per atom
Magnetization: 10.0 μB/cell

a = 5.131 Å, b = 5.878 Å, c = 8.603 Å
α = 91.65°, β = 94.57°, γ = 108.80°
Fractional coordinates of all 28 atoms:
1 Li 0.859 0.216 0.711
2 Li 0.714 0.926 0.435
3 Li 0.282 0.066 0.575
4 Li 0.138 0.781 0.290
5 Li 0.573 0.639 0.144
6 Li 0.003 0.504 0.995
7 Li 0.431 0.369 0.848
8 Li 0.857 0.714 0.713
9 Mn 0.998 0.996 0.995
10 Mn 0.572 0.145 0.144
11 Co 0.716 0.431 0.433
12 Co 0.427 0.854 0.853
13 Co 0.286 0.571 0.572
14 Co 0.143 0.287 0.288
15 O 0.158 0.025 0.803
16 O 0.007 0.715 0.505
17 O 0.541 0.872 0.647
18 O 0.403 0.594 0.363
19 O 0.838 0.451 0.222
20 O 0.258 0.311 0.078
21 O 0.722 0.156 0.935
22 O 0.556 0.413 0.625
23 O 0.450 0.126 0.353
24 O 0.025 0.262 0.496
25 O 0.884 0.977 0.211
26 O 0.278 0.844 0.061
27 O 0.709 0.705 0.930
28 O 0.170 0.551 0.775